1.
# LiCr2P2O8

An optimized crystal structure of LiCr2P2O8 (PBE+U, Materials Project).

Cell and atoms, written as extended XYZ:
```
39
Lattice="6.409 0.000 0.000 -0.002 9.506 0.000 -0.010 -4.743 8.239" Properties=species:S:1:pos:R:3 pbc="T T T"
Li 0.000 0.000 0.000
Li 0.034 4.762 2.719
Li 3.306 0.029 5.513
Cr 2.614 5.336 6.240
Cr 2.623 1.453 1.485
Cr 2.625 7.519 0.514
Cr 5.808 2.138 5.043
Cr 5.817 -1.407 3.962
Cr 5.809 -0.707 7.593
P 2.572 2.837 5.330
P 2.580 -1.536 3.133
P 2.570 -1.259 8.012
P 5.818 1.558 2.328
P 5.817 6.724 0.172
P 5.808 6.012 5.691
O 0.606 5.344 6.400
O 0.617 1.311 1.386
O 0.619 7.669 0.433
O 1.353 -0.592 7.378
O 1.357 1.954 5.061
O 1.366 -1.324 4.037
O 2.554 3.424 1.321
O 2.549 4.210 4.614
O 2.553 6.664 2.305
O 2.624 -0.468 1.941
O 2.617 -2.825 7.684
O 2.619 3.326 6.854
O 3.801 -1.345 4.064
O 3.798 1.945 5.023
O 3.801 -0.561 7.392
O 4.591 1.478 1.411
O 4.593 7.565 0.575
O 4.583 5.277 6.243
O 5.741 1.551 6.911
O 5.751 -1.943 5.997
O 5.757 0.473 3.463
O 5.920 6.043 4.139
O 5.927 2.883 3.130
O 5.933 5.371 0.931
```

## Properties
Symmetry: P1, No. 1

2.
# LiCr2P2O8

An optimized crystal structure of LiCr2P2O8 (PBE+U, Materials Project).

Cell and atoms, written as extended XYZ:
```
26
Lattice="6.554 0.000 0.000 0.000 4.903 0.000 0.000 0.000 8.822" Properties=species:S:1:pos:R:3 pbc="T T T"
Li 0.000 0.970 0.000
Li 0.000 3.933 4.411
Cr 1.695 1.252 2.987
Cr 1.695 3.651 7.398
Cr 4.859 1.252 2.987
Cr 4.859 3.651 7.398
P 0.000 1.409 5.809
P 0.000 3.494 1.399
P 3.277 1.096 0.147
P 3.277 3.807 4.558
O 0.000 0.101 1.822
O 0.000 1.554 4.207
O 0.000 3.348 8.618
O 0.000 4.802 6.233
O 1.273 2.096 6.293
O 1.273 2.807 1.882
O 1.984 0.397 8.482
O 1.984 4.505 4.071
O 3.277 0.953 1.728
O 3.277 2.331 4.057
O 3.277 2.572 8.468
O 3.277 3.950 6.139
O 4.570 0.397 8.482
O 4.570 4.505 4.071
O 5.281 2.096 6.293
O 5.281 2.807 1.882
```

## Properties
Symmetry: Pmc2_1, No. 26

3.
# LiCr2P2O8

An optimized crystal structure of LiCr2P2O8 (PBE+U, Materials Project).

Cell and atoms, written as extended XYZ:
```
26
Lattice="5.159 0.000 0.000 0.000 8.098 0.000 -4.955 0.000 9.296" Properties=species:S:1:pos:R:3 pbc="T T T"
Li 0.000 1.587 0.000
Li -2.478 6.511 4.648
Cr -2.700 3.377 5.823
Cr -0.222 4.722 1.175
Cr -0.142 0.699 5.336
Cr 2.336 7.399 0.688
P -3.061 0.346 6.927
P -0.583 7.753 2.278
P -0.562 3.859 4.261
P -3.039 4.239 8.910
O -0.911 3.782 2.774
O -3.389 4.317 7.422
O -3.578 0.267 8.398
O -1.100 7.831 3.749
O 0.971 3.264 0.411
O -1.506 4.834 5.059
O -1.077 2.501 4.935
O 1.400 5.597 0.287
O -1.519 0.309 6.872
O 0.958 7.789 2.224
O -1.557 4.008 9.154
O 0.921 4.090 4.505
O 3.880 0.650 1.289
O 1.402 7.448 5.938
O 1.485 1.711 6.340
O 3.963 6.387 1.692
```

## Properties
Symmetry: Pc, No. 7

Q: Which of them is the most stable? A: 2.

1.
# FeP4O11

An optimized crystal structure of FeP4O11 (PBE+U, Materials Project).

Cell and atoms, written as extended XYZ:
```
64
Lattice="9.315 0.000 0.000 -0.127 9.364 0.000 -3.386 -3.586 9.636" Properties=species:S:1:pos:R:3 pbc="T T T"
Fe 2.085 2.522 0.010
Fe 0.523 5.427 5.014
Fe 5.279 0.351 4.621
Fe 3.718 3.256 9.626
P -0.080 3.267 2.444
P -0.523 0.653 3.962
P -0.084 7.536 2.502
P -0.876 2.209 8.559
P 2.139 8.357 0.552
P 1.190 -1.790 7.562
P 2.048 0.282 5.527
P 1.562 2.889 7.017
P 4.241 2.888 2.619
P 3.755 5.496 4.109
P 4.612 7.568 2.073
P 3.664 -2.579 9.083
P 6.679 3.569 1.077
P 5.887 -1.758 7.133
P 6.326 5.124 5.673
P 5.882 2.511 7.192
O -1.623 5.229 5.147
O -2.252 -1.111 7.766
O 0.325 2.703 1.121
O -0.179 -0.197 2.673
O -1.805 2.246 7.270
O -0.045 2.095 3.587
O 1.108 7.536 1.393
O 0.589 4.427 3.084
O 1.827 0.287 0.008
O 0.474 7.089 3.807
O -1.220 1.229 9.604
O 0.498 0.239 5.126
O -0.836 3.747 9.027
O 0.270 6.701 6.664
O 0.713 3.697 6.098
O 0.562 1.978 7.956
O 0.553 -1.019 8.668
O 3.173 2.273 1.794
O 3.424 8.501 1.451
O 2.269 1.698 6.168
O 2.133 -0.743 6.713
O 3.020 0.047 4.440
O 2.783 5.731 5.196
O 3.669 6.521 2.923
O 3.534 4.079 3.468
O 2.379 -2.724 8.184
O 2.630 3.505 7.842
O 5.249 6.797 0.967
O 5.241 3.799 1.680
O 5.089 2.081 3.538
O 5.533 -0.924 2.972
O 6.639 2.030 0.609
O 5.304 5.538 4.510
O 7.023 4.549 0.031
O 5.329 -1.311 5.828
O 3.975 5.491 9.628
O 5.213 1.351 6.552
O 4.695 -1.758 8.243
O 5.848 3.683 6.049
O 7.608 3.532 2.366
O 5.982 5.975 6.963
O 5.478 3.074 8.515
O 8.055 6.889 1.869
O 7.425 0.549 4.488
```

## Properties
Symmetry: P-1, No. 2

2.
# FeP4O11

An optimized crystal structure of FeP4O11 (PBE+U, Materials Project).

Cell and atoms, written as extended XYZ:
```
64
Lattice="8.344 0.000 0.000 0.000 12.519 0.000 -7.518 0.000 8.595" Properties=species:S:1:pos:R:3 pbc="T T T"
Fe -1.721 0.384 2.037
Fe -5.480 5.876 6.334
Fe 6.306 6.643 2.261
Fe 2.547 12.136 6.558
P -6.747 8.916 7.729
P -2.988 9.863 3.432
P -2.111 6.308 5.678
P 1.648 12.471 1.380
P -1.595 1.912 5.160
P 2.164 4.347 0.863
P 1.168 8.329 2.006
P -2.591 10.450 6.303
P 3.417 2.070 2.292
P -0.342 4.190 6.589
P -1.338 8.172 7.732
P 2.421 10.607 3.435
P -0.822 0.048 7.215
P 2.937 6.212 2.917
P 3.814 2.656 5.163
P 7.573 3.603 0.866
O -6.374 7.542 7.300
O -2.615 11.237 3.003
O -1.149 2.382 1.608
O -4.908 3.878 5.905
O -2.907 2.744 4.925
O 0.852 3.516 0.627
O -3.508 6.655 6.043
O 0.251 12.125 1.746
O 1.265 9.179 0.678
O -2.494 9.600 4.975
O -0.048 7.541 2.189
O -3.807 11.238 6.487
O -5.382 0.171 8.589
O -1.623 6.089 4.292
O -1.158 1.050 4.057
O -4.917 5.210 8.354
O -1.830 1.185 6.547
O 1.929 5.075 2.250
O 2.057 1.261 2.300
O -1.702 4.998 6.597
O -2.420 9.329 7.438
O 1.339 9.450 3.141
O -0.514 3.069 5.454
O 3.245 3.190 1.157
O 2.527 7.521 1.998
O -1.232 11.258 6.295
O -1.104 7.445 6.345
O 2.655 11.335 2.048
O 5.743 7.309 0.241
O 1.984 11.470 4.538
O 2.449 6.430 4.303
O 6.208 12.349 0.006
O 4.633 1.281 2.108
O 0.874 4.979 6.406
O 3.320 2.920 3.620
O -0.439 3.340 7.917
O 0.575 0.395 6.849
O 4.334 5.865 2.552
O -0.026 9.003 7.968
O 3.733 9.776 3.670
O 5.733 8.642 2.690
O 1.974 10.137 6.987
O 3.440 1.282 5.592
O 7.199 4.977 1.295
```

## Properties
Symmetry: P2_1/c, No. 14

Q: Which of them is the most stable? A: 2.

1.
# Al2FeO4

An optimized crystal structure of Al2FeO4 (PBE+U, Materials Project).

Cell and atoms, written as extended XYZ:
```
28
Lattice="-2.853 4.941 0.000 2.938 1.696 4.797 5.845 3.375 -4.773" Properties=species:S:1:pos:R:3 pbc="T T T"
O 2.989 6.763 1.176
O 7.250 5.929 -1.139
O -0.049 3.266 -1.068
O 2.916 8.272 -1.055
O -1.261 5.860 -1.243
O 5.907 8.255 -1.138
O 5.979 6.746 1.093
O 0.024 1.756 1.164
O 1.432 5.864 -1.151
O 0.162 6.681 1.080
O 1.373 4.087 1.255
O 4.557 5.925 -1.230
O -1.319 4.083 1.163
O 4.339 9.093 1.268
O 4.498 4.148 1.176
O 2.942 3.250 -1.151
Al 3.008 8.325 2.411
Al 5.888 6.694 -2.374
Al 7.357 7.542 0.025
Al -1.326 5.822 0.553
Al 1.439 4.125 -0.540
Al 1.539 7.477 0.012
Al 4.492 5.887 0.565
Al 4.404 9.131 -0.528
Fe 4.405 4.190 -2.380
Fe 2.979 6.661 -2.380
Fe 2.952 3.351 2.405
Fe 1.525 5.822 2.405
```

2.
# Al2FeO4

An optimized crystal structure of Al2FeO4 (PBE+U, Materials Project).

Cell and atoms, written as extended XYZ:
```
42
Lattice="5.817 0.000 0.000 2.899 5.048 0.000 0.035 0.028 14.316" Properties=species:S:1:pos:R:3 pbc="T T T"
Al 0.000 0.000 0.000
Al 1.488 2.554 14.312
Al 1.469 0.839 2.365
Al 2.971 3.372 9.593
Al 2.917 1.671 4.761
Al 4.391 4.229 4.754
Al 2.950 0.028 14.303
Al 4.411 0.881 9.588
Al 5.838 3.370 9.570
Al 7.302 4.223 11.940
Al 7.297 4.213 6.528
Al 5.866 1.675 4.757
Fe 1.497 0.860 11.283
Fe 1.521 0.870 7.777
Fe 4.362 2.519 1.820
Fe 4.396 2.548 12.568
Fe 4.396 2.533 7.203
Fe 7.290 4.205 2.976
O 0.218 0.107 3.639
O 1.487 2.302 3.634
O 2.759 3.501 13.221
O 1.486 0.865 13.342
O 1.482 0.837 5.749
O 2.945 3.369 5.824
O 4.359 4.410 1.127
O 2.748 1.586 1.107
O 3.048 1.758 8.625
O 4.387 4.085 8.573
O 2.745 0.118 3.621
O 4.393 2.525 3.875
O 4.413 2.540 10.582
O 6.061 4.945 10.666
O 4.395 0.863 5.834
O 5.844 3.374 5.806
O 6.033 3.499 13.219
O 4.403 0.647 13.201
O 5.744 1.754 8.585
O 7.260 4.213 0.980
O 7.298 4.218 8.369
O 5.994 1.577 1.133
O 7.313 2.784 10.670
O 8.557 4.945 10.677
```

## Properties
Symmetry: P1, No. 1

Q: Which of them is the most stable? A: 2.

1.
# Li4Co5O9F

An optimized crystal structure of Li4Co5O9F (PBE+U, Materials Project).

Cell and atoms, written as extended XYZ:
```
19
Lattice="2.855 0.000 0.000 1.422 4.839 0.000 1.424 1.979 12.221" Properties=species:S:1:pos:R:3 pbc="T T T"
Li 0.000 0.000 0.000
Li 2.812 5.984 7.137
Li 2.833 1.583 9.589
Li 4.240 5.580 4.638
Co 1.413 3.056 3.436
Co 2.839 4.191 10.751
Co 2.843 3.358 5.870
Co 2.839 2.559 0.962
Co 4.270 3.776 8.313
O 1.408 3.619 1.628
O 1.416 2.214 5.224
O 2.843 4.931 8.942
O 1.413 1.452 0.278
O 2.839 4.083 4.110
O 2.845 2.625 7.673
O 4.265 5.306 11.437
O 4.271 4.501 6.505
O 4.267 3.055 10.099
F 2.838 1.713 2.853
```

## Properties
Symmetry: P1, No. 1

2.
# Li4Co5O9F

An optimized crystal structure of Li4Co5O9F (PBE+U, Materials Project).

Cell and atoms, written as extended XYZ:
```
19
Lattice="2.876 0.000 0.000 1.409 4.937 0.000 1.322 1.975 12.841" Properties=species:S:1:pos:R:3 pbc="T T T"
Li 0.000 0.000 0.000
Li 1.360 1.290 7.460
Li 2.785 1.672 10.135
Li 2.827 0.817 4.793
Co 1.383 3.280 3.607
Co 2.784 4.354 11.280
Co 2.803 3.513 6.172
Co 2.839 2.613 0.992
Co 4.238 3.952 8.726
O 1.401 3.682 1.648
O 1.366 2.365 5.630
O 2.767 5.206 9.293
O 1.401 1.518 0.286
O 2.810 4.353 4.514
O 2.798 2.734 7.950
O 4.136 5.580 11.877
O 4.239 4.658 6.769
O 4.257 3.123 10.549
F 2.835 1.795 3.114
```

## Properties
Symmetry: P1, No. 1

Q: Which of them is the most stable? A: 1.